Here is S after structural relaxation from the Materials Project. Energies are from PBE.

Cell and atoms, written as POSCAR:
```
S
1.0
-0.946 -3.570 14.251
2.809 5.177 12.863
-8.491 2.361 3.856
S
32
Direct
0.574 0.673 0.227 S
0.129 0.959 0.263 S
0.423 0.330 0.768 S
0.276 0.375 0.705 S
0.157 0.254 0.962 S
0.029 0.229 0.671 S
0.851 0.738 0.042 S
0.971 0.771 0.328 S
0.746 0.843 0.867 S
0.040 0.872 0.850 S
0.670 0.576 0.026 S
0.146 0.699 0.379 S
0.868 0.044 0.747 S
0.793 0.696 0.763 S
0.772 0.975 0.427 S
0.326 0.426 0.980 S
0.302 0.209 0.753 S
0.247 0.763 0.697 S
0.692 0.798 0.240 S
0.731 0.617 0.294 S
0.955 0.134 0.153 S
0.230 0.756 0.204 S
0.623 0.721 0.861 S
0.209 0.302 0.236 S
0.294 0.857 0.726 S
0.863 0.295 0.617 S
0.769 0.239 0.795 S
0.231 0.021 0.574 S
0.378 0.272 0.145 S
0.706 0.137 0.274 S
0.261 0.148 0.131 S
0.752 0.233 0.306 S
```

Values from the calculation:
- Total magnetic moment: 0.0 μB/cell
- ΔE to the lowest computed polymorph: 0.021 eV per atom
- Space group: P1 (1)
- Mass density: 1.47 g/cm³
- Formation energy: 0.021 eV per formula unit

***

Here is S after structural relaxation from the Materials Project. Energies are from PBE.

Cell and atoms, written as POSCAR:
```
S
1.0
7.240 -12.540 0.000
7.240 12.540 0.000
0.000 0.000 4.926
S
18
Direct
0.742 0.173 0.441 S
0.536 0.481 0.074 S
0.431 0.258 0.441 S
0.621 0.742 0.337 S
0.191 0.726 0.325 S
0.451 0.798 0.643 S
0.827 0.569 0.441 S
0.650 0.062 0.194 S
0.274 0.465 0.325 S
0.945 0.464 0.074 S
0.535 0.809 0.325 S
0.258 0.879 0.337 S
0.938 0.588 0.194 S
0.347 0.549 0.643 S
0.121 0.379 0.337 S
0.202 0.653 0.643 S
0.412 0.350 0.194 S
0.519 0.055 0.074 S
```

Values from the calculation:
- Total magnetic moment: 0.0 μB/cell
- ΔE to the lowest computed polymorph: 0.357 eV per atom
- Space group: P3 (143)
- Mass density: 1.07 g/cm³
- Formation energy: 0.357 eV per formula unit